No. 1
Compound: K3Cu2F7
Source: the Materials Project
Functional: PBE
Structure: optimized geometry

Unit cell a=4.091 b=4.091 c=11.023 alpha=100.69 beta=100.69 gamma=90.00
Element x y z (fractional)
K 0.316 0.316 0.632
K 0.684 0.684 0.368
K 0.500 0.500 0.000
Cu 0.096 0.096 0.192
Cu 0.904 0.904 0.808
F 0.405 0.905 0.811
F 0.905 0.405 0.811
F 0.595 0.095 0.189
F 0.095 0.595 0.189
F 0.000 0.000 0.000
F 0.191 0.191 0.383
F 0.809 0.809 0.617

## Properties
The space group is I4/mmm.



No. 2
Compound: K2CuF4
Source: the Materials Project
Functional: PBE
Structure: optimized geometry

Unit cell a=13.595 b=13.595 c=13.595 alpha=154.93 beta=154.93 gamma=35.74
Element x y z (fractional)
K 0.928 0.928 0.000
K 0.072 0.072 0.000
K 0.428 0.428 0.000
K 0.572 0.572 0.000
K 0.821 0.321 0.500
K 0.179 0.679 0.500
K 0.679 0.179 0.500
K 0.321 0.821 0.500
Cu 0.000 0.500 0.500
Cu 0.500 0.000 0.500
Cu 0.250 0.250 0.000
Cu 0.750 0.750 0.000
F 0.674 0.674 0.000
F 0.500 0.000 0.000
F 0.577 0.077 0.500
F 0.000 0.000 0.500
F 0.267 0.233 0.500
F 0.326 0.326 0.000
F 0.077 0.577 0.500
F 0.423 0.923 0.500
F 0.826 0.826 0.000
F 0.500 0.500 0.500
F 0.733 0.767 0.500
F 0.923 0.423 0.500
F 0.233 0.733 0.965
F 0.174 0.174 0.000
F 0.767 0.267 0.035
F 0.000 0.500 0.000

## Properties
The space group is I4/mcm.



No. 3
Compound: K2LiCuF6
Source: the Materials Project
Functional: PBE
Structure: optimized geometry

Unit cell a=5.727 b=5.727 c=5.727 alpha=60.00 beta=60.00 gamma=60.00
Element x y z (fractional)
K 0.250 0.250 0.250
K 0.750 0.750 0.750
Li 0.500 0.500 0.500
Cu 0.000 0.000 0.000
F 0.760 0.240 0.240
F 0.240 0.760 0.760
F 0.240 0.760 0.240
F 0.760 0.240 0.760
F 0.240 0.240 0.760
F 0.760 0.760 0.240

## Properties
The space group is Fm-3m.



No. 4
Compound: K3MgCu2F9
Source: the Materials Project
Functional: PBE
Structure: optimized geometry

Unit cell a=4.065 b=4.065 c=12.231 alpha=90.00 beta=90.00 gamma=90.00
Element x y z (fractional)
K 0.000 0.000 0.832
K 0.000 0.000 0.168
K 0.000 0.000 0.500
Mg 0.500 0.500 0.000
Cu 0.500 0.500 0.333
Cu 0.500 0.500 0.667
F 0.500 0.000 0.000
F 0.500 0.000 0.334
F 0.500 0.000 0.666
F 0.500 0.500 0.835
F 0.500 0.500 0.165
F 0.500 0.500 0.500
F 0.000 0.500 0.000
F 0.000 0.500 0.334
F 0.000 0.500 0.666

## Properties
The space group is P4/mmm.



No. 5
Compound: K4MgCu3F12
Source: the Materials Project
Functional: PBE
Structure: optimized geometry

Unit cell a=7.061 b=7.061 c=7.061 alpha=109.47 beta=109.47 gamma=109.47
Element x y z (fractional)
K 0.500 0.500 0.500
K 0.000 0.500 0.000
K 0.500 0.000 0.000
K 0.000 0.000 0.500
Mg 0.000 0.000 0.000
Cu 0.500 0.500 0.000
Cu 0.000 0.500 0.500
Cu 0.500 0.000 0.500
F 0.250 0.500 0.750
F 0.249 0.249 0.000
F 0.000 0.751 0.751
F 0.000 0.249 0.249
F 0.249 0.000 0.249
F 0.751 0.751 0.000
F 0.751 0.000 0.751
F 0.750 0.500 0.250
F 0.500 0.750 0.250
F 0.500 0.250 0.750
F 0.750 0.250 0.500
F 0.250 0.750 0.500

## Properties
The space group is Im-3m.



No. 6
Compound: K4MgCu3F12
Source: the Materials Project
Functional: PBE
Structure: optimized geometry

Unit cell a=9.093 b=9.093 c=4.102 alpha=90.00 beta=90.00 gamma=127.09
Element x y z (fractional)
K 0.874 0.622 0.500
K 0.622 0.874 0.500
K 0.378 0.126 0.500
K 0.126 0.378 0.500
Mg 0.000 0.000 0.000
Cu 0.751 0.249 0.000
Cu 0.500 0.500 0.000
Cu 0.249 0.751 0.000
F 0.250 0.250 0.000
F 0.000 0.500 0.000
F 0.750 0.750 0.000
F 0.500 0.000 0.000
F 0.628 0.372 0.000
F 0.372 0.628 0.000
F 0.123 0.877 0.000
F 0.877 0.123 0.000
F 0.500 0.500 0.500
F 0.249 0.751 0.500
F 0.000 0.000 0.500
F 0.751 0.249 0.500

## Properties
The space group is Cmmm.



No. 7
Compound: K4MgCu3F12
Source: the Materials Project
Functional: PBE
Structure: optimized geometry

Unit cell a=5.864 b=5.864 c=8.026 alpha=90.00 beta=90.00 gamma=87.28
Element x y z (fractional)
K 0.250 0.750 0.998
K 0.750 0.250 0.502
K 0.750 0.250 0.998
K 0.250 0.750 0.502
Mg 0.750 0.750 0.750
Cu 0.250 0.250 0.250
Cu 0.750 0.750 0.250
Cu 0.250 0.250 0.750
F 0.991 0.509 0.250
F 0.495 0.005 0.750
F 0.005 0.495 0.750
F 0.509 0.991 0.250
F 0.519 0.519 0.750
F 0.021 0.021 0.250
F 0.479 0.479 0.250
F 0.981 0.981 0.750
F 0.750 0.750 0.005
F 0.250 0.250 0.504
F 0.250 0.250 0.996
F 0.750 0.750 0.495

## Properties
The space group is Cmmm.



No. 8
Compound: K2NaCuF6
Source: the Materials Project
Functional: PBE
Structure: optimized geometry

Unit cell a=5.919 b=5.919 c=5.919 alpha=60.00 beta=60.00 gamma=60.00
Element x y z (fractional)
K 0.250 0.250 0.250
K 0.750 0.750 0.750
Na 0.500 0.500 0.500
Cu 0.000 0.000 0.000
F 0.770 0.230 0.770
F 0.230 0.230 0.770
F 0.770 0.770 0.230
F 0.770 0.230 0.230
F 0.230 0.770 0.230
F 0.230 0.770 0.770

## Properties
The space group is Fm-3m.



No. 9
Compound: KRb2CuF6
Source: the Materials Project
Functional: PBE
Structure: optimized geometry

Unit cell a=6.300 b=6.300 c=6.300 alpha=60.00 beta=60.00 gamma=60.00
Element x y z (fractional)
K 0.500 0.500 0.500
Rb 0.250 0.250 0.250
Rb 0.750 0.750 0.750
Cu 0.000 0.000 0.000
F 0.783 0.217 0.217
F 0.217 0.783 0.783
F 0.217 0.783 0.217
F 0.783 0.217 0.783
F 0.217 0.217 0.783
F 0.783 0.783 0.217

## Properties
The space group is Fm-3m.



No. 10
Compound: KCuSb3F18
Source: the Materials Project
Functional: PBE
Structure: optimized geometry

Unit cell a=9.904 b=11.194 c=14.721 alpha=90.00 beta=90.00 gamma=90.00
Element x y z (fractional)
K 0.533 0.922 0.750
K 0.967 0.422 0.750
K 0.467 0.078 0.250
K 0.033 0.578 0.250
Cu 0.000 0.000 0.500
Cu 0.500 0.500 0.000
Cu 0.000 0.000 0.000
Cu 0.500 0.500 0.500
Sb 0.096 0.025 0.750
Sb 0.404 0.525 0.750
Sb 0.904 0.975 0.250
Sb 0.596 0.475 0.250
Sb 0.695 0.202 0.547
Sb 0.805 0.702 0.953
Sb 0.305 0.798 0.047
Sb 0.195 0.298 0.453
Sb 0.305 0.798 0.453
Sb 0.195 0.298 0.047
Sb 0.695 0.202 0.953
Sb 0.805 0.702 0.547
F 0.097 0.029 0.616
F 0.403 0.529 0.884
F 0.903 0.971 0.116
F 0.597 0.471 0.384
F 0.903 0.971 0.384
F 0.597 0.471 0.116
F 0.097 0.029 0.884
F 0.403 0.529 0.616
F 0.121 0.858 0.750
F 0.379 0.358 0.750
F 0.879 0.142 0.250
F 0.621 0.642 0.250
F 0.287 0.044 0.750
F 0.213 0.544 0.750
F 0.713 0.956 0.250
F 0.787 0.456 0.250
F 0.077 0.195 0.750
F 0.423 0.695 0.750
F 0.923 0.805 0.250
F 0.577 0.305 0.250
F 0.906 0.007 0.750
F 0.594 0.507 0.750
F 0.094 0.993 0.250
F 0.406 0.493 0.250
F 0.835 0.072 0.548
F 0.665 0.572 0.952
F 0.165 0.928 0.048
F 0.335 0.428 0.452
F 0.165 0.928 0.452
F 0.335 0.428 0.048
F 0.835 0.072 0.952
F 0.665 0.572 0.548
F 0.799 0.288 0.461
F 0.701 0.788 0.039
F 0.201 0.712 0.961
F 0.299 0.212 0.539
F 0.201 0.712 0.539
F 0.299 0.212 0.961
F 0.799 0.288 0.039
F 0.701 0.788 0.461
F 0.601 0.123 0.452
F 0.899 0.623 0.048
F 0.399 0.877 0.952
F 0.101 0.377 0.548
F 0.399 0.877 0.548
F 0.101 0.377 0.952
F 0.601 0.123 0.048
F 0.899 0.623 0.452
F 0.561 0.328 0.552
F 0.939 0.828 0.948
F 0.439 0.672 0.052
F 0.061 0.172 0.448
F 0.439 0.672 0.448
F 0.061 0.172 0.052
F 0.561 0.328 0.948
F 0.939 0.828 0.552
F 0.598 0.110 0.635
F 0.902 0.610 0.865
F 0.402 0.890 0.135
F 0.098 0.390 0.365
F 0.402 0.890 0.365
F 0.098 0.390 0.135
F 0.598 0.110 0.865
F 0.902 0.610 0.635
F 0.792 0.278 0.644
F 0.708 0.778 0.856
F 0.208 0.722 0.144
F 0.292 0.222 0.356
F 0.208 0.722 0.356
F 0.292 0.222 0.144
F 0.792 0.278 0.856
F 0.708 0.778 0.644

## Properties
The space group is Pnma.



No. 11
Compound: K2ScCuF6
Source: the Materials Project
Functional: PBE
Structure: optimized geometry

Unit cell a=6.051 b=6.051 c=6.051 alpha=60.00 beta=60.00 gamma=60.00
Element x y z (fractional)
K 0.750 0.750 0.750
K 0.250 0.250 0.250
Sc 0.000 0.000 0.000
Cu 0.500 0.500 0.500
F 0.762 0.238 0.238
F 0.238 0.238 0.762
F 0.238 0.762 0.762
F 0.238 0.762 0.238
F 0.762 0.238 0.762
F 0.762 0.762 0.238

## Properties
The space group is Fm-3m.



No. 12
Compound: K2TlCuF6
Source: the Materials Project
Functional: PBE
Structure: optimized geometry

Unit cell a=6.187 b=6.187 c=6.187 alpha=60.00 beta=60.00 gamma=60.00
Element x y z (fractional)
K 0.250 0.250 0.250
K 0.750 0.750 0.750
Tl 0.000 0.000 0.000
Cu 0.500 0.500 0.500
F 0.265 0.265 0.735
F 0.265 0.735 0.735
F 0.735 0.735 0.265
F 0.265 0.735 0.265
F 0.735 0.265 0.735
F 0.735 0.265 0.265

## Properties
The space group is Fm-3m.



No. 13
Compound: K2YCuF6
Source: the Materials Project
Functional: PBE
Structure: optimized geometry

Unit cell a=6.257 b=6.257 c=6.257 alpha=60.00 beta=60.00 gamma=60.00
Element x y z (fractional)
K 0.250 0.250 0.250
K 0.750 0.750 0.750
Y 0.500 0.500 0.500
Cu 0.000 0.000 0.000
F 0.254 0.746 0.254
F 0.746 0.746 0.254
F 0.746 0.254 0.746
F 0.746 0.254 0.254
F 0.254 0.746 0.746
F 0.254 0.254 0.746

## Properties
The space group is Fm-3m.



No. 14
Compound: KZrCuF7
Source: the Materials Project
Functional: PBE
Structure: optimized geometry

Unit cell a=7.761 b=7.761 c=10.217 alpha=90.00 beta=90.00 gamma=113.34
Element x y z (fractional)
K 0.637 0.847 0.250
K 0.153 0.363 0.250
K 0.847 0.637 0.750
K 0.363 0.153 0.750
Zr 0.134 0.866 0.431
Zr 0.134 0.866 0.069
Zr 0.866 0.134 0.931
Zr 0.866 0.134 0.569
Cu 0.634 0.366 0.070
Cu 0.366 0.634 0.570
Cu 0.366 0.634 0.930
Cu 0.634 0.366 0.430
F 0.644 0.897 0.513
F 0.356 0.103 0.487
F 0.778 0.222 0.386
F 0.222 0.778 0.614
F 0.025 0.975 0.613
F 0.356 0.103 0.013
F 0.897 0.644 0.013
F 0.998 0.725 0.250
F 0.103 0.356 0.513
F 0.295 0.705 0.390
F 0.584 0.416 0.250
F 0.705 0.295 0.610
F 0.705 0.295 0.890
F 0.975 0.025 0.387
F 0.103 0.356 0.987
F 0.222 0.778 0.886
F 0.416 0.584 0.750
F 0.897 0.644 0.487
F 0.725 0.998 0.750
F 0.025 0.975 0.887
F 0.975 0.025 0.113
F 0.295 0.705 0.110
F 0.644 0.897 0.987
F 0.778 0.222 0.114
F 0.500 0.500 0.500
F 0.002 0.275 0.750
F 0.275 0.002 0.250
F 0.500 0.500 0.000

## Properties
The space group is Cmcm.



Number 1: corrected total energy (MP2020 scheme) -54.46 eV for the cell shown, ΔH_f (0 K) -29.53 eV/f.u.. Number 2: corrected total energy (MP2020 scheme) -127.04 eV for the cell shown, ΔH_f (0 K) -17.78 eV/f.u.. Number 3: corrected total energy (MP2020 scheme) -45.80 eV for the cell shown, ΔH_f (0 K) -26.08 eV/f.u.. Number 4: corrected total energy (MP2020 scheme) -71.60 eV for the cell shown, ΔH_f (0 K) -41.24 eV/f.u.. Number 5: corrected total energy (MP2020 scheme) -94.15 eV for the cell shown, ΔH_f (0 K) -52.84 eV/f.u.. Number 6: corrected total energy (MP2020 scheme) -94.30 eV for the cell shown, ΔH_f (0 K) -52.99 eV/f.u.. Number 7: corrected total energy (MP2020 scheme) -94.16 eV for the cell shown, ΔH_f (0 K) -52.84 eV/f.u.. Number 8: corrected total energy (MP2020 scheme) -44.96 eV for the cell shown, ΔH_f (0 K) -25.83 eV/f.u.. Number 9: corrected total energy (MP2020 scheme) -44.32 eV for the cell shown, ΔH_f (0 K) -25.66 eV/f.u.. Number 10: corrected total energy (MP2020 scheme) -449.68 eV for the cell shown, ΔH_f (0 K) -60.36 eV/f.u.. Number 11: corrected total energy (MP2020 scheme) -55.65 eV for the cell shown, ΔH_f (0 K) -31.51 eV/f.u.. Number 12: corrected total energy (MP2020 scheme) -43.99 eV for the cell shown, ΔH_f (0 K) -23.82 eV/f.u.. Number 13: corrected total energy (MP2020 scheme) -55.61 eV for the cell shown, ΔH_f (0 K) -31.34 eV/f.u.. Number 14: corrected total energy (MP2020 scheme) -236.69 eV for the cell shown, ΔH_f (0 K) -32.01 eV/f.u..